First-principles (GGA-PBE) data for crystalline Os4C16NO12 at its relaxed geometry, as listed in Materials Project.

## Properties
The formation energy is -0.267 eV per atom. For the magnetic moment, the calculation gives 1.0 μB/f.u.

a = 12.216 Å, b = 12.792 Å, c = 16.708 Å
α = 90.00°, β = 90.00°, γ = 90.00°
Space group Pccn (No. 56)
Asymmetric unit:
Os1 0.143 0.209 0.068 [8 per cell]
Os2 0.231 0.122 0.463 [8 per cell]
C1 0.012 0.159 0.022 [8 per cell]
C2 0.089 0.168 0.621 [8 per cell]
C3 0.118 0.175 0.396 [8 per cell]
C4 0.122 0.118 0.157 [8 per cell]
C5 0.160 0.507 0.983 [8 per cell]
C6 0.185 0.056 0.882 [8 per cell]
C7 0.217 0.705 0.775 [8 per cell]
C8 0.237 0.646 0.701 [8 per cell]
N1 0.250 0.750 0.181 [4 per cell]
O1 0.050 0.093 0.648 [8 per cell]
O2 0.055 0.209 0.351 [8 per cell]
O3 0.070 0.629 0.505 [8 per cell]
O4 0.108 0.063 0.211 [8 per cell]
O5 0.118 0.586 0.998 [8 per cell]
O6 0.139 0.016 0.829 [8 per cell]